No. 1
! HfMg6CoO8 PBE+U optimized geometry; values from VASP
! **Symmetry**: P4/mmm
! **E_form**: -2.73 eV per atom
! **ΔE to the lowest computed polymorph**: 0 meV/atom
! **Mass density**: 5.21 Mg/m³
&SYSTEM
  ibrav = 0, nat = 16, ntyp = 4
/
ATOMIC_SPECIES
Hf 178.49 Hf.upf
Mg 24.30 Mg.upf
Co 58.93 Co.upf
O 16.00 O.upf
CELL_PARAMETERS angstrom
4.294 0.000 0.000
0.000 4.294 0.000
0.000 0.000 8.838
ATOMIC_POSITIONS crystal
Hf 0.000 0.000 0.000
Mg 0.000 0.000 0.500
Mg 0.000 0.500 0.257
Mg 0.000 0.500 0.743
Mg 0.500 0.000 0.257
Mg 0.500 0.000 0.743
Mg 0.500 0.500 0.500
Co 0.500 0.500 0.000
O 0.000 0.000 0.253
O 0.000 0.000 0.747
O 0.000 0.500 0.000
O 0.000 0.500 0.500
O 0.500 0.000 0.000
O 0.500 0.000 0.500
O 0.500 0.500 0.264
O 0.500 0.500 0.736

---

No. 2
! HfCoO3 PBE+U optimized geometry; values from VASP
! **Symmetry**: Pnma
! **E_form**: -2.83 eV per atom
! **Mass density**: 8.25 Mg/m³
&SYSTEM
  ibrav = 0, nat = 20, ntyp = 3
/
ATOMIC_SPECIES
Hf 178.49 Hf.upf
Co 58.93 Co.upf
O 16.00 O.upf
CELL_PARAMETERS angstrom
5.432 0.000 0.000
0.000 7.829 0.000
0.000 0.000 5.404
ATOMIC_POSITIONS crystal
Hf 0.000 0.000 0.000
Hf 0.000 0.500 0.000
Hf 0.500 0.000 0.500
Hf 0.500 0.500 0.500
Co 0.027 0.250 0.485
Co 0.473 0.750 0.985
Co 0.527 0.250 0.015
Co 0.973 0.750 0.515
O 0.086 0.750 0.880
O 0.167 0.566 0.335
O 0.167 0.934 0.335
O 0.333 0.066 0.835
O 0.333 0.434 0.835
O 0.414 0.250 0.380
O 0.586 0.750 0.620
O 0.667 0.566 0.165
O 0.667 0.934 0.165
O 0.833 0.066 0.665
O 0.833 0.434 0.665
O 0.914 0.250 0.120

---

No. 3
! MgCo4Hg2O8 PBE+U optimized geometry; values from VASP
! **Symmetry**: Cm
! **E_form**: -0.83 eV per atom
! **ΔE to the lowest computed polymorph**: 349 meV/atom
! **Mass density**: 6.35 Mg/m³
&SYSTEM
  ibrav = 0, nat = 15, ntyp = 4
/
ATOMIC_SPECIES
Mg 24.30 Mg.upf
Co 58.93 Co.upf
Hg 200.59 Hg.upf
O 16.00 O.upf
CELL_PARAMETERS angstrom
5.714 -3.315 0.000
5.714 3.315 0.000
-3.853 0.000 5.450
ATOMIC_POSITIONS crystal
Mg 0.000 0.000 0.000
Co 0.124 0.565 0.855
Co 0.125 0.125 0.425
Co 0.142 0.142 0.850
Co 0.565 0.124 0.855
Hg 0.473 0.473 0.496
Hg 0.745 0.745 0.255
O 0.338 0.892 0.123
O 0.339 0.339 0.644
O 0.339 0.911 0.626
O 0.343 0.343 0.068
O 0.885 0.885 0.666
O 0.891 0.891 0.125
O 0.892 0.338 0.123
O 0.911 0.339 0.626

---

No. 4
! MgCo4Hg2O8 PBE+U optimized geometry; values from VASP
! **Symmetry**: P1
! **E_form**: -1.18 eV per atom
! **ΔE to the lowest computed polymorph**: 0 meV/atom
! **Mass density**: 7.02 Mg/m³
&SYSTEM
  ibrav = 0, nat = 15, ntyp = 4
/
ATOMIC_SPECIES
Mg 24.30 Mg.upf
Co 58.93 Co.upf
Hg 200.59 Hg.upf
O 16.00 O.upf
CELL_PARAMETERS angstrom
6.020 0.000 0.000
-0.135 6.038 0.000
-2.011 -3.041 5.136
ATOMIC_POSITIONS crystal
Mg 0.000 0.000 0.000
Co 0.402 0.536 0.063
Co 0.860 0.509 0.472
Co 0.880 0.012 0.512
Co 0.918 0.531 0.049
Hg 0.389 0.282 0.516
Hg 0.438 0.901 0.822
O 0.025 0.196 0.367
O 0.085 0.719 0.458
O 0.150 0.273 0.962
O 0.184 0.731 0.010
O 0.634 0.342 0.109
O 0.654 0.757 0.105
O 0.739 0.828 0.652
O 0.751 0.350 0.643

---

No. 5
! Co2HgO4 PBE+U optimized geometry; values from VASP
! **Symmetry**: I4_1/amd
! **E_form**: -0.95 eV per atom
! **ΔE to the lowest computed polymorph**: 123 meV/atom
! **Mass density**: 7.37 Mg/m³
&SYSTEM
  ibrav = 0, nat = 14, ntyp = 3
/
ATOMIC_SPECIES
Co 58.93 Co.upf
Hg 200.59 Hg.upf
O 16.00 O.upf
CELL_PARAMETERS angstrom
-3.186 3.186 4.247
3.186 -3.186 4.247
3.186 3.186 -4.247
ATOMIC_POSITIONS crystal
Co 0.000 0.000 0.000
Co 0.000 0.000 0.500
Co 0.000 0.500 0.000
Co 0.500 0.000 0.500
Hg 0.375 0.625 0.750
Hg 0.625 0.375 0.250
O 0.190 0.230 0.960
O 0.230 0.190 0.460
O 0.230 0.770 0.040
O 0.230 0.770 0.460
O 0.770 0.230 0.540
O 0.770 0.230 0.960
O 0.770 0.810 0.540
O 0.810 0.770 0.040

---

No. 6
! Co2HgO4 PBE+U optimized geometry; values from VASP
! **Symmetry**: Pmmn
! **E_form**: -1.07 eV per atom
! **ΔE to the lowest computed polymorph**: 0 meV/atom
! **Mass density**: 7.87 Mg/m³
&SYSTEM
  ibrav = 0, nat = 28, ntyp = 3
/
ATOMIC_SPECIES
Co 58.93 Co.upf
Hg 200.59 Hg.upf
O 16.00 O.upf
CELL_PARAMETERS angstrom
5.691 0.000 0.000
0.000 11.565 0.000
0.000 0.000 4.904
ATOMIC_POSITIONS crystal
Co 0.000 0.000 0.000
Co 0.000 0.500 0.000
Co 0.250 0.006 0.496
Co 0.250 0.494 0.496
Co 0.500 0.000 0.000
Co 0.500 0.500 0.000
Co 0.750 0.506 0.504
Co 0.750 0.994 0.504
Hg 0.250 0.250 0.887
Hg 0.250 0.750 0.568
Hg 0.750 0.250 0.432
Hg 0.750 0.750 0.113
O 0.001 0.088 0.667
O 0.001 0.412 0.667
O 0.250 0.086 0.152
O 0.250 0.414 0.152
O 0.250 0.583 0.822
O 0.250 0.917 0.822
O 0.499 0.088 0.667
O 0.499 0.412 0.667
O 0.501 0.588 0.333
O 0.501 0.912 0.333
O 0.750 0.083 0.178
O 0.750 0.417 0.178
O 0.750 0.586 0.848
O 0.750 0.914 0.848
O 0.999 0.588 0.333
O 0.999 0.912 0.333

---

No. 7
! Co2HgO4 PBE+U optimized geometry; values from VASP
! **Symmetry**: Fd-3m
! **E_form**: -1.03 eV per atom
! **ΔE to the lowest computed polymorph**: 44 meV/atom
! **Mass density**: 7.54 Mg/m³
&SYSTEM
  ibrav = 0, nat = 14, ntyp = 3
/
ATOMIC_SPECIES
Co 58.93 Co.upf
Hg 200.59 Hg.upf
O 16.00 O.upf
CELL_PARAMETERS angstrom
0.000 4.384 4.384
4.384 0.000 4.384
4.384 4.384 0.000
ATOMIC_POSITIONS crystal
Co 0.000 0.000 0.000
Co 0.000 0.000 0.500
Co 0.000 0.500 0.000
Co 0.500 0.000 0.000
Hg 0.375 0.375 0.375
Hg 0.625 0.625 0.625
O 0.185 0.772 0.772
O 0.228 0.228 0.228
O 0.228 0.228 0.815
O 0.228 0.815 0.228
O 0.772 0.185 0.772
O 0.772 0.772 0.185
O 0.772 0.772 0.772
O 0.815 0.228 0.228

---

No. 8
! HoCoO3 PBE+U optimized geometry; values from VASP
! **Symmetry**: Pnma
! **E_form**: -2.64 eV per atom
! **Mass density**: 8.24 Mg/m³
&SYSTEM
  ibrav = 0, nat = 20, ntyp = 3
/
ATOMIC_SPECIES
Ho 164.93 Ho.upf
Co 58.93 Co.upf
O 16.00 O.upf
CELL_PARAMETERS angstrom
5.735 0.000 0.000
0.000 7.329 0.000
0.000 0.000 5.215
ATOMIC_POSITIONS crystal
Ho 0.086 0.250 0.025
Ho 0.414 0.750 0.525
Ho 0.586 0.250 0.475
Ho 0.914 0.750 0.975
Co 0.000 0.000 0.500
Co 0.000 0.500 0.500
Co 0.500 0.000 0.000
Co 0.500 0.500 0.000
O 0.032 0.750 0.388
O 0.183 0.553 0.802
O 0.183 0.947 0.802
O 0.317 0.053 0.302
O 0.317 0.447 0.302
O 0.468 0.250 0.888
O 0.532 0.750 0.112
O 0.683 0.553 0.698
O 0.683 0.947 0.698
O 0.817 0.053 0.198
O 0.817 0.447 0.198
O 0.968 0.250 0.612

---

No. 9
! HoCoO3 PBE+U optimized geometry; values from VASP
! **Symmetry**: Pnma
! **E_form**: -2.22 eV per atom
! **Mass density**: 6.73 Mg/m³
&SYSTEM
  ibrav = 0, nat = 20, ntyp = 3
/
ATOMIC_SPECIES
Ho 164.93 Ho.upf
Co 58.93 Co.upf
O 16.00 O.upf
CELL_PARAMETERS angstrom
5.686 0.000 0.000
0.000 12.251 0.000
0.000 0.000 3.852
ATOMIC_POSITIONS crystal
Ho 0.164 0.250 0.085
Ho 0.336 0.750 0.585
Ho 0.664 0.250 0.415
Ho 0.836 0.750 0.915
Co 0.000 0.000 0.000
Co 0.000 0.500 0.000
Co 0.500 0.000 0.500
Co 0.500 0.500 0.500
O 0.003 0.250 0.608
O 0.248 0.073 0.245
O 0.248 0.427 0.245
O 0.252 0.573 0.745
O 0.252 0.927 0.745
O 0.497 0.750 0.108
O 0.503 0.250 0.892
O 0.748 0.073 0.255
O 0.748 0.427 0.255
O 0.752 0.573 0.755
O 0.752 0.927 0.755
O 0.997 0.750 0.392

---

No. 10
! Ho2CoPtO6 PBE+U optimized geometry; values from VASP
! **Symmetry**: P2_1/c
! **E_form**: -2.59 eV per atom
! **Mass density**: 9.56 Mg/m³
&SYSTEM
  ibrav = 0, nat = 20, ntyp = 4
/
ATOMIC_SPECIES
Ho 164.93 Ho.upf
Co 58.93 Co.upf
Pt 195.08 Pt.upf
O 16.00 O.upf
CELL_PARAMETERS angstrom
5.330 0.000 0.000
0.000 5.767 0.000
-5.295 0.000 7.685
ATOMIC_POSITIONS crystal
Ho 0.222 0.075 0.247
Ho 0.222 0.425 0.747
Ho 0.778 0.575 0.253
Ho 0.778 0.925 0.753
Co 0.000 0.000 0.500
Co 0.000 0.500 0.000
Pt 0.500 0.000 0.000
Pt 0.500 0.500 0.500
O 0.126 0.189 0.943
O 0.126 0.311 0.443
O 0.248 0.697 0.932
O 0.248 0.803 0.432
O 0.380 0.054 0.751
O 0.380 0.446 0.251
O 0.620 0.554 0.749
O 0.620 0.946 0.249
O 0.752 0.197 0.568
O 0.752 0.303 0.068
O 0.874 0.689 0.557
O 0.874 0.811 0.057

---

No. 11
! CoI2O6 PBE+U optimized geometry; values from VASP
! **Symmetry**: P2_1
! **E_form**: -0.97 eV per atom
! **ΔE to the lowest computed polymorph**: 0 meV/atom
! **Mass density**: 4.86 Mg/m³
&SYSTEM
  ibrav = 0, nat = 36, ntyp = 3
/
ATOMIC_SPECIES
Co 58.93 Co.upf
I 126.90 I.upf
O 16.00 O.upf
CELL_PARAMETERS angstrom
10.911 0.000 0.000
0.000 5.338 0.000
-5.306 0.000 9.589
ATOMIC_POSITIONS crystal
Co 0.239 0.000 0.492
Co 0.261 0.500 0.008
Co 0.739 0.000 0.992
Co 0.761 0.500 0.508
I 0.085 0.070 0.151
I 0.087 0.101 0.687
I 0.414 0.601 0.813
I 0.415 0.571 0.349
I 0.585 0.071 0.651
I 0.586 0.101 0.187
I 0.913 0.601 0.313
I 0.915 0.570 0.849
O 0.067 0.787 0.338
O 0.082 0.713 0.882
O 0.103 0.208 0.536
O 0.117 0.283 0.035
O 0.199 0.225 0.319
O 0.228 0.287 0.826
O 0.272 0.787 0.674
O 0.300 0.725 0.181
O 0.383 0.783 0.465
O 0.396 0.709 0.963
O 0.418 0.214 0.618
O 0.432 0.287 0.161
O 0.568 0.787 0.839
O 0.582 0.714 0.382
O 0.604 0.209 0.037
O 0.617 0.283 0.535
O 0.700 0.225 0.819
O 0.728 0.287 0.326
O 0.772 0.787 0.174
O 0.801 0.725 0.681
O 0.883 0.783 0.965
O 0.897 0.708 0.464
O 0.918 0.213 0.118
O 0.933 0.287 0.662

---

No. 12
! CoI2O6 PBE+U optimized geometry; values from VASP
! **Symmetry**: P2_1/c
! **E_form**: -0.91 eV per atom
! **ΔE to the lowest computed polymorph**: 62 meV/atom
! **Mass density**: 5.05 Mg/m³
&SYSTEM
  ibrav = 0, nat = 36, ntyp = 3
/
ATOMIC_SPECIES
Co 58.93 Co.upf
I 126.90 I.upf
O 16.00 O.upf
CELL_PARAMETERS angstrom
6.689 0.000 0.000
0.000 11.208 0.000
-3.708 0.000 7.167
ATOMIC_POSITIONS crystal
Co 0.158 0.101 0.473
Co 0.158 0.399 0.973
Co 0.842 0.601 0.027
Co 0.842 0.899 0.527
I 0.215 0.081 0.961
I 0.215 0.419 0.461
I 0.354 0.707 0.070
I 0.354 0.793 0.570
I 0.646 0.207 0.430
I 0.646 0.293 0.930
I 0.785 0.581 0.539
I 0.785 0.919 0.039
O 0.011 0.538 0.327
O 0.011 0.962 0.827
O 0.040 0.218 0.900
O 0.040 0.282 0.400
O 0.145 0.583 0.014
O 0.145 0.917 0.514
O 0.351 0.105 0.809
O 0.351 0.395 0.309
O 0.417 0.111 0.411
O 0.417 0.389 0.911
O 0.450 0.713 0.322
O 0.450 0.787 0.822
O 0.550 0.213 0.178
O 0.550 0.287 0.678
O 0.583 0.611 0.089
O 0.583 0.889 0.589
O 0.649 0.605 0.691
O 0.649 0.895 0.191
O 0.855 0.083 0.486
O 0.855 0.417 0.986
O 0.960 0.718 0.600
O 0.960 0.782 0.100
O 0.989 0.038 0.173
O 0.989 0.462 0.673

---

No. 13
! CoI2O6 PBE+U optimized geometry; values from VASP
! **Symmetry**: P-31m
! **E_form**: -0.63 eV per atom
! **ΔE to the lowest computed polymorph**: 346 meV/atom
! **Mass density**: 5.70 Mg/m³
&SYSTEM
  ibrav = 0, nat = 9, ntyp = 3
/
ATOMIC_SPECIES
Co 58.93 Co.upf
I 126.90 I.upf
O 16.00 O.upf
CELL_PARAMETERS angstrom
5.505 0.000 0.000
-2.753 4.768 0.000
0.000 0.000 4.540
ATOMIC_POSITIONS crystal
Co 0.000 0.000 0.000
I 0.333 0.667 0.500
I 0.667 0.333 0.500
O 0.000 0.343 0.256
O 0.000 0.657 0.744
O 0.343 0.000 0.256
O 0.343 0.343 0.744
O 0.657 0.000 0.744
O 0.657 0.657 0.256

---

No. 14
! CoI2O6 PBE+U optimized geometry; values from VASP
! **Symmetry**: P3
! **E_form**: -0.96 eV per atom
! **ΔE to the lowest computed polymorph**: 8 meV/atom
! **Mass density**: 4.96 Mg/m³
&SYSTEM
  ibrav = 0, nat = 36, ntyp = 3
/
ATOMIC_SPECIES
Co 58.93 Co.upf
I 126.90 I.upf
O 16.00 O.upf
CELL_PARAMETERS angstrom
11.093 0.000 0.000
-5.547 9.607 0.000
0.000 0.000 5.139
ATOMIC_POSITIONS crystal
Co 0.000 0.000 0.000
Co 0.003 0.509 0.493
Co 0.491 0.495 0.493
Co 0.505 0.997 0.493
I 0.153 0.318 0.424
I 0.165 0.847 0.424
I 0.333 0.667 0.886
I 0.346 0.167 0.913
I 0.667 0.333 0.438
I 0.682 0.835 0.424
I 0.821 0.654 0.913
I 0.833 0.179 0.913
O 0.028 0.176 0.209
O 0.042 0.682 0.264
O 0.131 0.458 0.281
O 0.147 0.972 0.209
O 0.177 0.130 0.775
O 0.179 0.652 0.723
O 0.318 0.360 0.264
O 0.328 0.869 0.281
O 0.348 0.526 0.723
O 0.367 0.037 0.724
O 0.462 0.321 0.716
O 0.474 0.821 0.723
O 0.542 0.672 0.281
O 0.552 0.171 0.261
O 0.619 0.448 0.261
O 0.640 0.958 0.264
O 0.670 0.633 0.724
O 0.679 0.141 0.716
O 0.824 0.853 0.209
O 0.829 0.381 0.261
O 0.859 0.538 0.716
O 0.870 0.047 0.775
O 0.953 0.823 0.775
O 0.963 0.330 0.724